# 1
Density functional theory data (PBE with a Hubbard U) for crystalline Rb2Mo2H4C4O15 at its relaxed geometry.

## Properties
Its energy of formation from the pure elements is -1727 meV/atom. As for the calculated volume: 795 Å³/cell. Its space-group type is P2_1/c. As for the energy with MP2020 corrections: -194.98 eV/f.u.

Cell and atoms, written as POSCAR:
```
Rb2Mo2H4C4O15
1.0
7.8094 0.0000 0.0000
0.0000 14.5335 0.0000
-0.5489 0.0000 7.0088
Rb Mo H C O
4 4 8 8 30
Direct
0.1916 0.1372 0.3728
0.1916 0.3628 0.8728
0.8084 0.6372 0.1272
0.8084 0.8628 0.6272
0.1055 0.6069 0.6161
0.1055 0.8931 0.1161
0.8945 0.1069 0.8839
0.8945 0.3931 0.3839
0.2603 0.6751 0.2736
0.2603 0.8249 0.7736
0.2897 0.5645 0.2742
0.2897 0.9355 0.7742
0.7103 0.0645 0.2258
0.7103 0.4355 0.7258
0.7397 0.1751 0.2264
0.7397 0.3249 0.7264
0.4569 0.6762 0.7520
0.4569 0.8238 0.2520
0.4797 0.5700 0.7398
0.4797 0.9300 0.2398
0.5203 0.0700 0.7602
0.5203 0.4300 0.2602
0.5431 0.1762 0.7480
0.5431 0.3238 0.2480
0.0000 0.0000 0.0000
0.0000 0.5000 0.5000
0.0302 0.1953 0.9691
0.0302 0.3047 0.4691
0.0565 0.5898 0.8495
0.0565 0.9102 0.3495
0.2182 0.6158 0.3205
0.2182 0.8842 0.8205
0.3023 0.7045 0.6909
0.3023 0.7955 0.1909
0.3450 0.5274 0.6670
0.3450 0.9726 0.1670
0.3817 0.0344 0.7000
0.3817 0.4656 0.2000
0.4263 0.2273 0.6853
0.4263 0.2727 0.1853
0.5737 0.7273 0.8147
0.5737 0.7727 0.3147
0.6183 0.5344 0.8000
0.6183 0.9656 0.3000
0.6550 0.0274 0.8330
0.6550 0.4726 0.3330
0.6977 0.2045 0.8091
0.6977 0.2955 0.3091
0.7818 0.1158 0.1795
0.7818 0.3842 0.6795
0.9435 0.0898 0.6505
0.9435 0.4102 0.1505
0.9698 0.6953 0.5309
0.9698 0.8047 0.0309
```


# 2
Density functional theory data (PBE with a Hubbard U) for crystalline LiVP2H2O8 at its relaxed geometry.

## Properties
Its energy of formation from the pure elements is -2338 meV/atom. As for the calculated volume: 613 Å³/cell. Its space-group type is Cc. As for the energy with MP2020 corrections: -100.92 eV/f.u.

Cell and atoms, written as POSCAR:
```
LiVP2H2O8
1.0
5.1059 -8.3757 0.0000
5.1059 8.3757 0.0000
-4.8026 0.0000 7.1710
Li V P H O
4 4 8 8 32
Direct
0.1025 0.8975 0.5000
0.2898 0.5797 0.9759
0.5797 0.2898 0.4759
0.8975 0.1025 0.0000
0.0388 0.6750 0.7451
0.2610 0.5842 0.3392
0.5842 0.2610 0.8392
0.6750 0.0388 0.2451
0.2719 0.8691 0.2136
0.2859 0.3184 0.6346
0.3184 0.2859 0.1346
0.4323 0.8804 0.7835
0.7520 0.8093 0.1500
0.8093 0.7520 0.6500
0.8691 0.2719 0.7136
0.8804 0.4323 0.2835
0.0054 0.1428 0.5666
0.1228 0.2136 0.3408
0.1428 0.0054 0.0666
0.2136 0.1228 0.8408
0.5447 0.5949 0.8775
0.5949 0.5447 0.3775
0.6426 0.8188 0.7120
0.8188 0.6426 0.2120
0.0041 0.8737 0.7046
0.0104 0.4601 0.7596
0.0149 0.4036 0.2448
0.1167 0.1467 0.5971
0.1361 0.8233 0.0185
0.1467 0.1167 0.0971
0.2245 0.9282 0.3576
0.2267 0.3305 0.4496
0.2616 0.6965 0.1889
0.2821 0.7576 0.8048
0.2889 0.4299 0.1614
0.3305 0.2267 0.9496
0.3502 0.4878 0.7941
0.4036 0.0149 0.7448
0.4299 0.2889 0.6614
0.4328 0.7663 0.6105
0.4601 0.0104 0.2596
0.4878 0.3502 0.2941
0.5924 0.7883 0.1700
0.6108 0.9844 0.9616
0.6638 0.6808 0.4519
0.6808 0.6638 0.9519
0.6965 0.2616 0.6889
0.7576 0.2821 0.3048
0.7663 0.4328 0.1105
0.7681 0.8598 0.7794
0.7883 0.5924 0.6700
0.8233 0.1361 0.5185
0.8598 0.7681 0.2794
0.8737 0.0041 0.2046
0.9282 0.2245 0.8576
0.9844 0.6108 0.4616
```